Version w
## Ca2Mn2Si4H6O17 (GGA+U)

Data for a relaxed Ca2Mn2Si4H6O17 crystal.

**M_tot**: 0.194 μB/atom
**Volume**: 10.832 Å³/atom

Lattice parameters (Å, degrees): 5.3555 5.5821 12.0917 88.27 87.39 68.43
Last column: nearest neighbours and their distance in Å.
Space group P1 (No. 1)
One atom of each set of equivalent atoms:
Ca1 0.0000 0.0000 0.0000 [1 per cell]  6 O 2.35-2.63
Ca2 0.3912 0.4019 0.4671 [1 per cell]  5 O 2.33-2.46
Mn1 0.1950 0.7040 0.7332 [1 per cell]  6 O 1.89-1.97
Mn2 0.6937 0.2032 0.7336 [1 per cell]  4 O 1.90-1.96
Si1 0.5844 0.6106 0.1296 [1 per cell]  4 O 1.61-1.67
Si2 0.6764 0.6486 0.8851 [1 per cell]  4 O 1.63-1.66
Si3 0.7130 0.7576 0.5815 [1 per cell]  4 O 1.63-1.67
Si4 0.7801 0.8197 0.3368 [1 per cell]  4 O 1.61-1.67
H1 0.1000 0.0999 0.5432 [1 per cell]  1 O 0.99
H2 0.1720 0.6442 0.2411 [1 per cell]  1 O 1.03
H3 0.2632 0.3917 0.0474 [1 per cell]  1 O 1.00
H4 0.2972 0.2944 0.9226 [1 per cell]  1 O 1.00
H5 0.7522 0.2302 0.2254 [1 per cell]  1 O 1.03
H6 0.9926 0.1362 0.4187 [1 per cell]  1 O 1.00
O1 0.0358 0.6221 0.6054 [1 per cell]  1 Si 1.65
O2 0.0602 0.0516 0.6844 [1 per cell]  1 H 1.74, 2 Mn 1.89-1.90
O3 0.1038 0.6378 0.3215 [1 per cell]  1 H 1.03
O4 0.1415 0.1380 0.4652 [1 per cell]  2 H 0.99-1.00
O5 0.2696 0.6670 0.1155 [1 per cell]  2 H 1.60-1.78, 1 Si 1.61
O6 0.2829 0.2403 0.0011 [1 per cell]  2 H 1.00
O7 0.3268 0.3568 0.7825 [1 per cell]  1 H 1.73, 2 Mn 1.89-1.91
O8 0.3550 0.7884 0.8600 [1 per cell]  1 Si 1.65
O9 0.5383 0.6028 0.6477 [1 per cell]  1 Si 1.66
O10 0.6007 0.0668 0.6012 [1 per cell]  1 Si 1.63
O11 0.6223 0.7736 0.2326 [1 per cell]  2 Si 1.63
O12 0.6788 0.6978 0.4501 [1 per cell]  2 Si 1.67
O13 0.7178 0.7018 0.0165 [1 per cell]  2 Si 1.66-1.67
O14 0.7257 0.1223 0.3486 [1 per cell]  2 H 1.61-1.72, 1 Si 1.61
O15 0.7667 0.2997 0.1469 [1 per cell]  1 H 1.03
O16 0.7864 0.3389 0.8665 [1 per cell]  1 Si 1.63
O17 0.8524 0.8023 0.8190 [1 per cell]  1 Si 1.66

Version x
## Ca2Mn2Si4H6O17 (GGA+U)

Data for a relaxed Ca2Mn2Si4H6O17 crystal.

**M_tot**: 0.193 μB/atom
**Volume**: 10.619 Å³/atom

Lattice parameters (Å, degrees): 9.0888 6.0364 12.0317 90.00 94.14 90.00
Last column: nearest neighbours and their distance in Å.
Space group C2 (No. 5)
One atom of each set of equivalent atoms:
Ca1 0.1978 0.0000 0.2662 [4 per cell]  5 O 2.33-2.41
Mn1 0.2493 0.7517 0.9998 [4 per cell]  6 O 1.89-2.05
Si1 0.0360 0.5004 0.1485 [4 per cell]  4 O 1.63-1.68
Si2 0.0997 0.5101 0.3959 [4 per cell]  4 O 1.61-1.67
H1 0.1026 0.9926 0.8019 [4 per cell]  1 O 1.00
H2 0.1245 0.0594 0.6748 [4 per cell]  1 O 0.99
H3 0.2144 0.2319 0.4930 [4 per cell]  1 O 1.04
O1 0.0000 0.5625 0.5000 [2 per cell]  2 Si 1.63
O2 0.0117 0.4938 0.7206 [4 per cell]  2 Si 1.66-1.67
O3 0.0596 0.9773 0.7231 [4 per cell]  2 H 0.99-1.00
O4 0.1264 0.7273 0.1264 [4 per cell]  1 Si 1.63
O5 0.1292 0.2756 0.1271 [4 per cell]  1 Si 1.63
O6 0.1315 0.5004 0.9209 [4 per cell]  1 Si 1.68
O7 0.1439 0.0026 0.9429 [4 per cell]  1 H 1.71, 2 Mn 1.89
O8 0.1716 0.2594 0.4119 [4 per cell]  1 H 1.04
O9 0.2244 0.6978 0.3862 [4 per cell]  1 H 1.53, 1 Si 1.61

The structure with the greatest stability is version w.

Version w
## FeP4O12 (GGA+U)

Data for a relaxed FeP4O12 crystal.

**M_tot**: 0.353 μB/atom
**Volume**: 13.258 Å³/atom

Lattice parameters (Å, degrees): 9.4096 9.1363 10.4865 90.00 90.00 90.00
Last column: nearest neighbours and their distance in Å.
Space group Pnma (No. 62)
One atom of each set of equivalent atoms:
Fe1 0.0132 0.2500 0.2115 [4 per cell]  6 O 2.03-2.04
P1 0.1983 0.7500 0.3907 [4 per cell]  4 O 1.51-1.59
P2 0.2119 0.5488 0.6101 [8 per cell]  4 O 1.50-1.62
P3 0.2347 0.2500 0.4826 [4 per cell]  4 O 1.50-1.61
O1 0.1069 0.5872 0.7124 [8 per cell]  1 P 1.50
O2 0.1109 0.7500 0.9464 [4 per cell]  1 P 1.50
O3 0.1131 0.7500 0.2690 [4 per cell]  1 P 1.51
O4 0.1274 0.2500 0.3770 [4 per cell]  1 P 1.50
O5 0.1363 0.0940 0.1300 [8 per cell]  1 P 1.50
O6 0.1468 0.2500 0.8528 [4 per cell]  1 P 1.51
O7 0.1538 0.6126 0.4753 [8 per cell]  2 P 1.59-1.62
O8 0.1988 0.1207 0.5814 [8 per cell]  2 P 1.58-1.61

Version x
## FeP4O12 (GGA+U)

Data for a relaxed FeP4O12 crystal.

**M_tot**: 0.235 μB/atom
**Volume**: 14.423 Å³/atom

Lattice parameters (Å, degrees): 9.6145 13.1790 7.9342 90.00 102.69 90.00
Last column: nearest neighbours and their distance in Å.
Space group C2/c (No. 15)
One atom of each set of equivalent atoms:
Fe1 0.0000 0.1333 0.2500 [4 per cell]  4 O 1.83-1.88
P1 0.0854 0.3428 0.1198 [8 per cell]  4 O 1.46-1.61
P2 0.1269 0.0828 0.6743 [8 per cell]  4 O 1.49-1.61
O1 0.0000 0.1312 0.7500 [4 per cell]  2 P 1.61
O2 0.0000 0.3954 0.2500 [4 per cell]  2 P 1.61
O3 0.0228 0.3598 0.9370 [8 per cell]  1 P 1.46
O4 0.1086 0.0331 0.1687 [8 per cell]  1 P 1.54
O5 0.1140 0.2304 0.1842 [8 per cell]  1 P 1.57
O6 0.1390 0.1310 0.5081 [8 per cell]  1 P 1.49
O7 0.2400 0.3949 0.1734 [8 per cell]  2 P 1.58-1.61

The structure with the greatest stability is version w.

Version w
## LiCo6O2F10 (GGA+U)

Data for a relaxed LiCo6O2F10 crystal.

**M_tot**: 0.897 μB/atom
**Volume**: 11.452 Å³/atom

Lattice parameters (Å, degrees): 4.8289 4.8531 9.2892 90.11 90.16 91.73
Last column: nearest neighbours and their distance in Å.
Space group P1 (No. 1)
One atom of each set of equivalent atoms:
Li1 0.0000 0.0000 0.0000 [1 per cell]  4 F 1.87-2.06
Co1 0.0026 0.5017 0.5005 [1 per cell]  6 F 2.06-2.08
Co2 0.0444 0.5305 0.1694 [1 per cell]  1 O 1.98, 5 F 2.03-2.21
Co3 0.4986 0.9927 0.3258 [1 per cell]  1 O 2.00, 5 F 2.08-2.20
Co4 0.5002 0.0016 0.0002 [1 per cell]  2 O 1.83, 2 F 2.00
Co5 0.5047 0.0107 0.6747 [1 per cell]  1 O 2.00, 5 F 2.08-2.21
Co6 0.9568 0.4723 0.8310 [1 per cell]  1 O 1.98, 5 F 2.03-2.21
O1 0.2969 0.8566 0.1496 [1 per cell]  3 Co 1.83-2.00
O2 0.7042 0.1460 0.8511 [1 per cell]  3 Co 1.83-2.00
F1 0.1997 0.3130 0.6705 [1 per cell]  3 Co 2.06-2.11
F2 0.2171 0.3277 0.9949 [1 per cell]  1 Li 1.88, 1 Co 2.08
F3 0.2280 0.3312 0.3344 [1 per cell]  3 Co 2.03-2.13
F4 0.2531 0.8270 0.8503 [1 per cell]  3 Co 2.00-2.21, 1 Li 2.05
F5 0.2939 0.8211 0.5044 [1 per cell]  3 Co 2.06-2.10
F6 0.7109 0.1826 0.4960 [1 per cell]  3 Co 2.06-2.10
F7 0.7470 0.1764 0.1504 [1 per cell]  3 Co 2.00-2.21, 1 Li 2.06
F8 0.7761 0.6719 0.6659 [1 per cell]  3 Co 2.03-2.13
F9 0.7822 0.6745 0.0057 [1 per cell]  1 Li 1.87, 1 Co 2.09
F10 0.8039 0.6909 0.3303 [1 per cell]  3 Co 2.06-2.11

Version x
## LiCo6O2F10 (GGA+U)

Data for a relaxed LiCo6O2F10 crystal.

**M_tot**: 1.000 μB/atom
**Volume**: 12.767 Å³/atom

Lattice parameters (Å, degrees): 5.1577 5.2074 9.1765 90.65 90.73 100.13
Last column: nearest neighbours and their distance in Å.
Space group P1 (No. 1)
One atom of each set of equivalent atoms:
Li1 0.0000 0.0000 0.0000 [1 per cell]  4 F 1.85-1.95
Co1 0.1675 0.8813 0.4977 [1 per cell]  2 O 1.82-1.83, 1 F 2.01
Co2 0.2863 0.7688 0.8076 [1 per cell]  1 O 1.91, 2 F 1.98-2.01
Co3 0.2932 0.7743 0.1907 [1 per cell]  1 O 1.93, 2 F 1.97-2.00
Co4 0.6877 0.2931 0.6583 [1 per cell]  1 O 1.97, 4 F 1.98-2.13
Co5 0.6910 0.3495 0.9976 [1 per cell]  6 F 2.00-2.14
Co6 0.7613 0.3600 0.3388 [1 per cell]  1 O 1.97, 4 F 1.99-2.12
O1 0.0522 0.6598 0.3453 [1 per cell]  3 Co 1.83-1.97
O2 0.3941 0.9956 0.6485 [1 per cell]  3 Co 1.82-1.97
F1 0.0285 0.6385 0.9945 [1 per cell]  1 Li 1.91, 1 Co 2.09
F2 0.3810 0.0164 0.0018 [1 per cell]  1 Li 1.95, 2 Co 2.14-2.16
F3 0.4275 0.0630 0.3325 [1 per cell]  3 Co 2.00-2.15
F4 0.5041 0.4951 0.8340 [1 per cell]  2 Co 1.98-2.00
F5 0.5497 0.5409 0.1607 [1 per cell]  2 Co 1.97-2.00
F6 0.5598 0.4924 0.4981 [1 per cell]  2 Co 1.98-1.99
F7 0.8511 0.1431 0.8435 [1 per cell]  1 Li 1.85, 1 Co 2.04
F8 0.8778 0.1733 0.1542 [1 per cell]  1 Li 1.85, 1 Co 2.03
F9 0.9168 0.1364 0.4992 [1 per cell]  3 Co 2.01-2.13
F10 0.9893 0.6196 0.6712 [1 per cell]  3 Co 2.01-2.21

The structure with the greatest stability is version w.

Version w
## CaW2O4 (GGA+U)

Data for a relaxed CaW2O4 crystal.

**M_tot**: 0.857 μB/atom
**Volume**: 15.016 Å³/atom

Lattice parameters (Å, degrees): 6.6437 6.6437 16.4994 90.00 90.00 120.00
Last column: nearest neighbours and their distance in Å.
Space group R3m (No. 160, hexagonal axes)
One atom of each set of equivalent atoms:
Ca1 0.0000 0.0000 0.0000 [3 per cell]  6 O 2.34-2.39
Ca2 0.0000 0.0000 0.3704 [3 per cell]  4 O 2.27-2.32
W1 0.0000 0.0000 0.5753 [3 per cell]  3 O 2.02
W2 0.1670 0.3339 0.8286 [9 per cell]  6 O 2.16-2.27
O1 0.0000 0.0000 0.2298 [3 per cell]  3 W 2.22, 1 Ca 2.32
O2 0.0000 0.0000 0.7694 [3 per cell]  3 W 2.16
O3 0.0267 0.5134 0.7603 [9 per cell]  2 W 2.16, 2 Ca 2.27-2.34
O4 0.1752 0.3505 0.5726 [9 per cell]  1 W 2.02

Version x
## CaW2O4 (GGA+U)

Data for a relaxed CaW2O4 crystal.

**M_tot**: 0.857 μB/atom
**Volume**: 14.740 Å³/atom

Lattice parameters (Å, degrees): 6.5659 6.6634 16.2262 89.12 90.00 60.71
Last column: nearest neighbours and their distance in Å.
Space group P1 (No. 1)
One atom of each set of equivalent atoms:
Ca1 0.0000 0.0000 0.0000 [1 per cell]  4 O 2.26-2.30
Ca2 0.0019 0.9965 0.2464 [1 per cell]  4 O 2.27-2.30
Ca3 0.3305 0.3357 0.5792 [1 per cell]  4 O 2.24-2.38
Ca4 0.3340 0.3305 0.3332 [1 per cell]  4 O 2.28-2.33
Ca5 0.6599 0.6749 0.9100 [1 per cell]  4 O 2.25-2.32
Ca6 0.9934 0.0060 0.6201 [1 per cell]  5 O 2.30-2.48
W1 0.0006 0.4979 0.1221 [1 per cell]  6 O 2.20-2.22
W2 0.1612 0.1750 0.7913 [1 per cell]  6 O 2.01-2.19
W3 0.1634 0.6720 0.7904 [1 per cell]  6 O 2.19-2.23
W4 0.3296 0.3373 0.9562 [1 per cell]  6 O 2.19-2.22
W5 0.3300 0.8352 0.4543 [1 per cell]  6 O 2.18-2.27
W6 0.5013 0.4979 0.1219 [1 per cell]  6 O 2.20-2.22
W7 0.5012 0.9977 0.1214 [1 per cell]  6 O 2.20-2.22
W8 0.6304 0.7372 0.6475 [1 per cell]  3 O 2.06-2.22
W9 0.6623 0.1743 0.7910 [1 per cell]  6 O 2.18-2.22
W10 0.6672 0.6648 0.2883 [1 per cell]  6 O 2.19-2.22
W11 0.8343 0.8350 0.4542 [1 per cell]  6 O 2.18-2.26
W12 0.8345 0.3297 0.4541 [1 per cell]  6 O 2.17-2.22
O1 0.0018 0.9997 0.8585 [1 per cell]  3 W 2.19-2.22, 1 Ca 2.30
O2 0.0383 0.4724 0.8647 [1 per cell]  3 W 2.12-2.22, 1 Ca 2.30
O3 0.1493 0.7001 0.5305 [1 per cell]  2 W 2.18, 2 Ca 2.25-2.32
O4 0.1564 0.1494 0.5254 [1 per cell]  2 W 2.17-2.18, 2 Ca 2.24-2.32
O5 0.1839 0.1905 0.0448 [1 per cell]  3 W 2.19-2.21, 1 Ca 2.26
O6 0.1887 0.6231 0.0423 [1 per cell]  3 W 2.19-2.21, 1 Ca 2.28
O7 0.3239 0.3435 0.7257 [1 per cell]  3 W 2.16-2.20, 1 Ca 2.38
O8 0.3251 0.8647 0.7312 [1 per cell]  3 W 2.07-2.23
O9 0.3373 0.3242 0.1894 [1 per cell]  3 W 2.21, 1 Ca 2.33
O10 0.3757 0.8059 0.1979 [1 per cell]  3 W 2.20-2.21, 1 Ca 2.29
O11 0.4637 0.0542 0.8685 [1 per cell]  3 W 2.14-2.22, 1 Ca 2.29
O12 0.4768 0.4831 0.8675 [1 per cell]  3 W 2.19-2.21, 1 Ca 2.25
O13 0.5158 0.5257 0.3777 [1 per cell]  3 W 2.19-2.21, 1 Ca 2.28
O14 0.5238 0.9529 0.3740 [1 per cell]  3 W 2.19-2.21, 1 Ca 2.28
O15 0.6232 0.1922 0.0435 [1 per cell]  3 W 2.19-2.21, 1 Ca 2.28
O16 0.6653 0.6708 0.0528 [1 per cell]  3 W 2.22, 1 Ca 2.32
O17 0.6730 0.6536 0.5248 [1 per cell]  4 W 2.06-2.27
O18 0.6920 0.1493 0.5258 [1 per cell]  2 W 2.18, 2 Ca 2.25-2.30
O19 0.8124 0.3737 0.2014 [1 per cell]  3 W 2.20-2.22, 1 Ca 2.30
O20 0.8179 0.8065 0.1976 [1 per cell]  3 W 2.20-2.21, 1 Ca 2.28
O21 0.8243 0.8530 0.7240 [1 per cell]  3 W 2.18-2.21
O22 0.8696 0.2927 0.7220 [1 per cell]  2 W 2.01-2.18
O23 0.9574 0.5261 0.3773 [1 per cell]  3 W 2.19-2.21, 1 Ca 2.28
O24 0.9980 0.0044 0.3861 [1 per cell]  3 W 2.19-2.21, 1 Ca 2.27

The structure with the greatest stability is version x.

Version w
## MgZn2Fe2Si2O10 (GGA+U)

Data for a relaxed MgZn2Fe2Si2O10 crystal.

**M_tot**: 0.588 μB/atom
**Volume**: 11.347 Å³/atom

Lattice parameters (Å, degrees): 5.4142 5.4650 7.2262 106.83 107.18 93.64
Last column: nearest neighbours and their distance in Å.
Space group P1 (No. 1)
One atom of each set of equivalent atoms:
Mg1 0.0000 0.0000 0.0000 [1 per cell]  6 O 2.06-2.13
Zn1 0.2926 0.4204 0.3164 [1 per cell]  3 O 1.95-2.10
Zn2 0.7073 0.5791 0.6850 [1 per cell]  3 O 1.95-2.10
Fe1 0.5000 0.0004 0.9999 [1 per cell]  4 O 1.93-1.98
Fe2 0.5000 0.9995 0.4997 [1 per cell]  6 O 2.02-2.07
Si1 0.1550 0.3716 0.7479 [1 per cell]  4 O 1.64-1.66
Si2 0.8440 0.6278 0.2515 [1 per cell]  4 O 1.64-1.66
O1 0.1492 0.6816 0.8509 [1 per cell]  1 Si 1.65
O2 0.1515 0.7463 0.3994 [1 per cell]  1 Si 1.66
O3 0.2448 0.2255 0.9208 [1 per cell]  1 Si 1.64
O4 0.3554 0.3314 0.6096 [1 per cell]  1 Si 1.66
O5 0.3730 0.0709 0.2307 [1 per cell]  2 Fe 1.93-2.02, 1 Zn 1.95, 1 Mg 2.13
O6 0.6267 0.9288 0.7689 [1 per cell]  2 Fe 1.93-2.02, 1 Zn 1.95, 1 Mg 2.13
O7 0.6442 0.6679 0.3901 [1 per cell]  1 Si 1.66
O8 0.7542 0.7740 0.0786 [1 per cell]  1 Si 1.64
O9 0.8477 0.2528 0.5996 [1 per cell]  1 Si 1.66
O10 0.8495 0.3176 0.1484 [1 per cell]  1 Si 1.65

Version x
## MgZn2Fe2Si2O10 (GGA+U)

Data for a relaxed MgZn2Fe2Si2O10 crystal.

**M_tot**: 0.588 μB/atom
**Volume**: 12.693 Å³/atom

Lattice parameters (Å, degrees): 5.6903 5.7545 7.3438 72.37 70.76 88.09
Last column: nearest neighbours and their distance in Å.
Space group P1 (No. 1)
One atom of each set of equivalent atoms:
Mg1 0.0000 0.0000 0.0000 [1 per cell]  5 O 1.98-2.18
Zn1 0.0129 0.5501 0.6314 [1 per cell]  4 O 1.90-2.11
Zn2 0.3933 0.1682 0.1542 [1 per cell]  4 O 1.93-2.08
Fe1 0.6274 0.7589 0.3941 [1 per cell]  5 O 1.91-2.07
Fe2 0.6298 0.8094 0.8706 [1 per cell]  5 O 1.94-2.16
Si1 0.0726 0.5053 0.0851 [1 per cell]  4 O 1.64-1.68
Si2 0.3086 0.1797 0.6090 [1 per cell]  4 O 1.63-1.67
O1 0.0009 0.1812 0.7117 [1 per cell]  1 Si 1.66
O2 0.0251 0.2071 0.1647 [1 per cell]  1 Si 1.64
O3 0.3838 0.4799 0.5069 [1 per cell]  1 Si 1.67
O4 0.3848 0.5280 0.0187 [1 per cell]  1 Si 1.68
O5 0.3855 0.0474 0.8125 [1 per cell]  1 Si 1.65
O6 0.4035 0.0363 0.4400 [1 per cell]  1 Si 1.63
O7 0.6256 0.9251 0.1027 [1 per cell]  1 Zn 1.93, 2 Fe 2.00-2.07, 1 Mg 2.02
O8 0.7488 0.7546 0.6086 [1 per cell]  1 Zn 1.90, 2 Fe 1.91-1.94
O9 0.9622 0.6612 0.2455 [1 per cell]  1 Si 1.64
O10 0.9684 0.6439 0.8965 [1 per cell]  1 Si 1.66

The structure with the greatest stability is version w.